(1)
Below is a relaxed Mg2Si crystal, with properties calculated at the GGA-PBE level.

Computed properties:
Crystal system: orthorhombic
Uncorrected energy, eV per atom: -2.971

abc: 4.204 7.010 8.040
angles: 90.00 90.00 90.00
Fractional coordinates of all 12 atoms:
Si 0.250 0.753 0.374
Mg 0.250 0.531 0.666
Mg 0.250 0.641 0.061
Si 0.750 0.247 0.626
Mg 0.750 0.859 0.561
Mg 0.750 0.359 0.939
Mg 0.750 0.969 0.166
Mg 0.250 0.031 0.834
Mg 0.750 0.469 0.334
Mg 0.250 0.141 0.439
Si 0.250 0.253 0.126
Si 0.750 0.747 0.874

(2)
Below is a relaxed CeMg2Ni crystal, with properties calculated at the GGA-PBE level.

Computed properties:
Crystal system: cubic
Uncorrected energy, eV per atom: -3.763

abc: 4.863 4.863 4.863
angles: 60.00 60.00 60.00
Fractional coordinates of all 4 atoms:
Mg 0.250 0.250 0.250
Mg 0.500 0.500 0.500
Ce 0.000 0.000 0.000
Ni 0.750 0.750 0.750

(3)
Below is a relaxed ReN2 crystal, with properties calculated at the GGA-PBE level.

Computed properties:
Crystal system: orthorhombic
Uncorrected energy, eV per atom: -9.394

abc: 4.806 4.806 2.832
angles: 90.00 90.00 107.09
Fractional coordinates of all 6 atoms:
Re 0.000 0.500 0.000
N 0.312 0.688 0.500
Re 0.500 0.000 0.000
N 0.886 0.886 0.000
N 0.688 0.312 0.500
N 0.114 0.114 0.000

(4)
Below is a relaxed LiNbO3 crystal, with properties calculated at the GGA-PBE level.

Computed properties:
Crystal system: trigonal
Uncorrected energy, eV per atom: -7.825

abc: 5.544 5.544 5.544
angles: 56.75 56.75 56.75
Fractional coordinates of all 10 atoms:
O 0.130 0.370 0.750
O 0.750 0.130 0.370
Li 0.750 0.750 0.750
Li 0.250 0.250 0.250
O 0.250 0.870 0.630
Nb 0.500 0.500 0.500
O 0.370 0.750 0.130
O 0.870 0.630 0.250
O 0.630 0.250 0.870
Nb 0.000 0.000 0.000

(5)
Below is a relaxed ThMnAl crystal, with properties calculated at the GGA-PBE level.

Computed properties:
Crystal system: orthorhombic
Uncorrected energy, eV per atom: -6.987

abc: 5.492 5.492 5.492
angles: 119.02 119.01 91.71
Fractional coordinates of all 6 atoms:
Th 0.135 0.885 0.250
Th 0.865 0.115 0.750
Al 0.500 0.500 0.000
Al 0.000 0.500 0.500
Mn 0.500 0.000 0.000
Mn 0.500 0.500 0.500

(6)
Below is a relaxed In4Sn3O12 crystal, with properties calculated at the GGA-PBE level.

Computed properties:
Crystal system: triclinic
Uncorrected energy, eV per atom: -5.913

abc: 6.271 6.352 6.366
angles: 99.55 99.54 99.73
Fractional coordinates of all 19 atoms:
O 0.414 0.584 0.162
O 0.416 0.810 0.584
O 0.319 0.082 0.942
Sn 0.001 0.005 0.001
O 0.681 0.899 0.046
Sn 0.860 0.397 0.682
In 0.604 0.314 0.138
In 0.694 0.865 0.393
O 0.590 0.431 0.821
In 0.310 0.129 0.605
O 0.178 0.417 0.600
O 0.590 0.180 0.426
O 0.057 0.687 0.890
O 0.944 0.316 0.097
O 0.905 0.073 0.693
In 0.138 0.604 0.317
O 0.821 0.580 0.431
Sn 0.396 0.686 0.861
O 0.085 0.940 0.311

(7)
Below is a relaxed Zr3Tl2Cu2Se8 crystal, with properties calculated at the GGA-PBE level.

Computed properties:
Crystal system: monoclinic
Uncorrected energy, eV per atom: -5.393

abc: 7.689 7.689 14.534
angles: 66.37 66.37 29.06
Fractional coordinates of all 15 atoms:
Se 0.145 0.145 0.809
Zr 0.154 0.154 0.620
Zr 0.000 0.000 0.000
Se 0.517 0.517 0.647
Zr 0.846 0.846 0.380
Se 0.855 0.855 0.191
Se 0.204 0.204 0.419
Tl 0.832 0.832 0.802
Se 0.393 0.393 0.958
Cu 0.543 0.543 0.802
Se 0.483 0.483 0.353
Se 0.796 0.796 0.581
Tl 0.168 0.168 0.198
Se 0.607 0.607 0.042
Cu 0.457 0.457 0.198

(8)
Below is a relaxed Na3MgZnPS2O12 crystal, with properties calculated at the GGA-PBE level.

Computed properties:
Crystal system: triclinic
Uncorrected energy, eV per atom: -5.904

abc: 8.925 8.934 22.218
angles: 90.04 90.08 119.95
Fractional coordinates of all 120 atoms:
O 0.558 0.859 0.475
O 0.316 0.833 0.254
O 0.790 0.976 0.695
O 0.028 0.819 0.700
O 0.118 0.646 0.360
O 0.165 0.981 0.910
O 0.989 0.814 0.087
Mg 0.336 0.673 0.317
O 0.801 0.824 0.914
O 0.146 0.645 0.081
S 0.369 0.335 0.084
Zn 0.656 0.336 0.987
O 0.694 0.534 0.244
O 0.155 0.684 0.755
P 0.703 0.002 0.751
O 0.196 0.214 0.692
O 0.804 0.021 0.810
S 0.966 0.335 0.584
S 0.367 0.037 0.584
S 0.002 0.296 0.248
O 0.179 0.191 0.411
Na 0.339 0.030 0.411
S 0.704 0.704 0.251
S 0.328 0.369 0.417
O 0.214 0.019 0.308
O 0.655 0.513 0.920
O 0.348 0.482 0.366
O 0.503 0.149 0.923
O 0.644 0.148 0.423
O 0.316 0.471 0.753
O 0.815 0.981 0.410
O 0.844 0.316 0.245
O 0.537 0.684 0.969
S 0.999 0.702 0.751
O 0.013 0.191 0.913
O 0.195 0.025 0.591
O 0.474 0.317 0.744
Na 0.693 0.031 0.911
O 0.644 0.122 0.137
O 0.697 0.140 0.029
O 0.350 0.863 0.580
O 0.135 0.444 0.974
O 0.190 0.179 0.090
O 0.479 0.122 0.637
O 0.532 0.642 0.859
Na 0.635 0.643 0.746
S 0.670 0.037 0.084
Na 0.008 0.645 0.245
Mg 0.676 0.336 0.683
O 0.020 0.217 0.192
O 0.155 0.471 0.255
Na 0.658 0.320 0.334
Na 0.695 0.670 0.422
O 0.644 0.516 0.638
O 0.141 0.490 0.579
O 0.859 0.300 0.529
O 0.861 0.544 0.024
O 0.520 0.882 0.361
O 0.881 0.353 0.637
P 0.333 0.972 0.917
Mg 0.000 0.988 0.150
O 0.684 0.544 0.524
Zn 0.341 0.679 0.820
Mg 0.988 0.988 0.650
Zn 0.680 0.336 0.486
O 0.486 0.159 0.245
O 0.808 0.783 0.307
P 0.960 0.628 0.083
O 0.513 0.863 0.080
O 0.130 0.480 0.865
Zn 0.007 0.011 0.846
P 0.668 0.628 0.583
O 0.365 0.890 0.860
Na 0.974 0.671 0.922
S 0.626 0.663 0.916
O 0.443 0.140 0.528
Na 0.311 0.341 0.584
O 0.473 0.354 0.137
S 0.297 0.297 0.748
Na 0.030 0.341 0.084
O 0.023 0.826 0.412
Na 0.985 0.992 0.500
Na 0.371 0.999 0.754
O 0.187 0.974 0.194
Na 0.628 0.000 0.254
Na 0.338 0.662 0.166
O 0.441 0.300 0.030
O 0.787 0.819 0.199
Na 0.662 0.321 0.834
S 0.040 0.370 0.917
Na 0.294 0.960 0.084
O 0.218 0.187 0.801
Na 0.006 0.992 0.999
P 0.300 0.002 0.251
S 0.038 0.665 0.415
O 0.349 0.490 0.079
Na 0.665 0.959 0.583
O 0.974 0.183 0.300
Mg 0.004 0.009 0.349
O 0.825 0.814 0.587
O 0.499 0.644 0.581
Mg 0.659 0.336 0.183
O 0.830 0.025 0.091
O 0.840 0.532 0.743
O 0.490 0.356 0.418
O 0.873 0.516 0.139
Zn 0.325 0.671 0.014
O 0.989 0.179 0.590
O 0.146 0.688 0.469
P 0.637 0.970 0.417
O 0.302 0.858 0.974
O 0.529 0.684 0.257
O 0.518 0.833 0.753
O 0.972 0.775 0.807
O 0.306 0.440 0.474
Na 0.322 0.661 0.667
O 0.860 0.515 0.419
Zn 0.345 0.671 0.513
O 0.865 0.356 0.919
O 0.673 0.158 0.745

(9)
Below is a relaxed MgH12SO10 crystal, with properties calculated at the GGA-PBE level.

Computed properties:
Crystal system: monoclinic
Excess energy over the best structure of this formula in the dataset, meV/atom: 406
Uncorrected energy, eV per atom: -4.866

abc: 6.860 6.860 27.029
angles: 82.65 82.65 66.88
Fractional coordinates of all 96 atoms:
O 0.152 0.179 0.341
O 0.534 0.984 0.906
H 0.654 0.328 0.815
H 0.672 0.346 0.471
H 0.447 0.619 0.749
H 0.458 0.680 0.664
O 0.785 0.300 0.005
H 0.322 0.062 0.734
H 0.346 0.672 0.971
O 0.179 0.152 0.841
H 0.105 0.723 0.175
O 0.752 0.024 0.180
O 0.700 0.215 0.495
O 0.023 0.098 0.567
H 0.750 0.888 0.323
H 0.381 0.553 0.751
Mg 0.000 0.000 0.500
O 0.098 0.023 0.067
O 0.579 0.613 0.937
Mg 0.000 0.000 0.000
S 0.758 0.603 0.391
H 0.619 0.447 0.249
O 0.792 0.929 0.285
O 0.300 0.785 0.505
H 0.672 0.346 0.685
O 0.208 0.071 0.715
H 0.938 0.678 0.766
O 0.387 0.421 0.563
H 0.164 0.041 0.581
H 0.409 0.737 0.476
H 0.836 0.959 0.419
S 0.603 0.758 0.891
H 0.553 0.381 0.251
H 0.077 0.283 0.457
O 0.429 0.403 0.844
O 0.806 0.280 0.799
H 0.542 0.320 0.336
H 0.973 0.250 0.574
O 0.071 0.208 0.215
O 0.902 0.977 0.933
S 0.397 0.242 0.109
H 0.027 0.750 0.426
O 0.156 0.320 0.125
H 0.680 0.458 0.164
O 0.929 0.792 0.785
H 0.263 0.591 0.024
O 0.613 0.579 0.437
H 0.959 0.836 0.919
H 0.723 0.105 0.675
O 0.976 0.248 0.320
O 0.680 0.844 0.375
H 0.717 0.923 0.043
O 0.984 0.534 0.406
H 0.678 0.938 0.266
O 0.403 0.429 0.344
O 0.215 0.700 0.995
O 0.848 0.821 0.659
H 0.302 0.359 0.354
H 0.359 0.302 0.854
H 0.750 0.027 0.926
O 0.571 0.597 0.156
O 0.320 0.156 0.625
H 0.923 0.717 0.543
O 0.466 0.016 0.094
H 0.328 0.654 0.529
H 0.062 0.322 0.234
O 0.597 0.571 0.656
H 0.641 0.698 0.146
S 0.242 0.397 0.609
H 0.346 0.672 0.185
H 0.698 0.641 0.646
O 0.844 0.680 0.875
O 0.248 0.976 0.820
H 0.112 0.250 0.177
O 0.016 0.466 0.594
H 0.328 0.654 0.315
Mg 0.941 0.059 0.750
H 0.591 0.263 0.524
O 0.280 0.806 0.299
O 0.977 0.902 0.433
H 0.737 0.409 0.976
Mg 0.059 0.941 0.250
O 0.821 0.848 0.159
H 0.041 0.164 0.081
O 0.194 0.720 0.201
O 0.024 0.752 0.680
O 0.720 0.194 0.701
H 0.654 0.328 0.029
H 0.250 0.973 0.074
H 0.895 0.277 0.825
H 0.888 0.750 0.823
H 0.277 0.895 0.325
H 0.283 0.077 0.957
H 0.250 0.112 0.677
O 0.421 0.387 0.063
H 0.320 0.542 0.836

(10)
Below is a relaxed CeAsS crystal, with properties calculated at the GGA-PBE level.

Computed properties:
Crystal system: orthorhombic
Uncorrected energy, eV per atom: -6.464

abc: 3.939 3.943 16.989
angles: 90.00 90.00 90.00
Fractional coordinates of all 12 atoms:
S 0.231 0.250 0.684
S 0.769 0.750 0.316
As 0.769 0.250 0.499
S 0.269 0.250 0.184
As 0.269 0.750 0.001
Ce 0.769 0.750 0.145
Ce 0.231 0.250 0.855
As 0.231 0.750 0.501
Ce 0.269 0.250 0.355
As 0.731 0.250 0.999
Ce 0.731 0.750 0.645
S 0.731 0.750 0.816

(11)
Below is a relaxed K2S3O6 crystal, with properties calculated at the GGA-PBE level.

Computed properties:
Crystal system: orthorhombic
Uncorrected energy, eV per atom: -5.522

abc: 5.816 9.954 14.307
angles: 90.00 90.00 90.00
Fractional coordinates of all 44 atoms:
S 0.750 0.029 0.315
O 0.539 0.580 0.229
S 0.750 0.798 0.033
O 0.460 0.149 0.924
S 0.250 0.202 0.967
O 0.750 0.383 0.172
O 0.960 0.851 0.076
O 0.750 0.808 0.930
O 0.040 0.149 0.924
S 0.250 0.702 0.533
O 0.540 0.351 0.424
O 0.540 0.851 0.076
K 0.750 0.683 0.735
O 0.250 0.617 0.828
O 0.461 0.920 0.729
S 0.750 0.529 0.185
S 0.250 0.414 0.959
S 0.250 0.914 0.541
K 0.750 0.635 0.411
O 0.460 0.649 0.576
O 0.461 0.420 0.771
O 0.250 0.117 0.672
O 0.960 0.351 0.424
K 0.250 0.317 0.265
S 0.250 0.971 0.685
K 0.250 0.817 0.235
O 0.250 0.192 0.070
O 0.961 0.080 0.271
O 0.040 0.649 0.576
S 0.750 0.586 0.041
O 0.961 0.580 0.229
K 0.250 0.365 0.589
O 0.750 0.883 0.328
K 0.750 0.135 0.089
S 0.750 0.086 0.459
K 0.750 0.183 0.765
S 0.250 0.471 0.815
O 0.039 0.920 0.729
O 0.250 0.692 0.430
K 0.250 0.865 0.911
O 0.039 0.420 0.771
O 0.750 0.308 0.570
S 0.750 0.298 0.467
O 0.539 0.080 0.271

| no. | energy of formation (eV/atom) |
| --- | --- |
| 1 | -0.07 |
| 2 | -0.03 |
| 3 | 0.07 |
| 4 | -2.87 |
| 5 | -0.21 |
| 6 | -2.01 |
| 7 | -1.21 |
| 8 | -2.32 |
| 9 | -1.15 |
| 10 | -1.72 |
| 11 | -1.87 |